Entry 1:
Below is a geometry-optimized MgTi structure, with properties calculated at the PBE-GGA level.

POSCAR file:
```
MgTi
1.0
4.837 0.000 0.000
0.000 6.211 0.000
0.000 0.000 5.242
Mg Ti
4 4
direct
0.000 0.000 0.000
0.000 0.266 0.518
0.000 0.734 0.518
0.500 0.000 0.360
0.000 0.500 0.014
0.500 0.286 0.874
0.500 0.500 0.334
0.500 0.714 0.874
```

Calculated values
E_tot = -4.57 eV per atom
size of the total moment = 0.44 μB per formula unit
ΔH_f (0 K) = 0.174 eV/atom


Entry 2:
Below is a geometry-optimized Mg2Ti structure, with properties calculated at the PBE-GGA level.

POSCAR file:
```
Mg2Ti
1.0
4.589 -2.733 0.000
4.589 2.733 0.000
-2.653 0.000 4.940
Mg Ti
4 2
direct
0.078 0.255 0.248
0.255 0.078 0.748
0.745 0.922 0.252
0.922 0.745 0.752
0.421 0.579 0.250
0.579 0.421 0.750
```

Calculated values
E_tot = -3.46 eV per atom
size of the total moment = 1.47 μB per formula unit
ΔH_f (0 K) = 0.236 eV/atom


Entry 3:
Below is a geometry-optimized MgTi structure, with properties calculated at the PBE-GGA level.

POSCAR file:
```
MgTi
1.0
5.248 -1.495 0.000
5.248 1.495 0.000
-2.145 0.000 4.875
Mg Ti
2 2
direct
0.123 0.123 0.453
0.877 0.877 0.547
0.367 0.367 0.043
0.633 0.633 0.957
```

Calculated values
E_tot = -4.59 eV per atom
size of the total moment = 0.17 μB per formula unit
ΔH_f (0 K) = 0.161 eV/atom